Material: Li2AlCr2SbO8
Method: DFT, PBE+U
State: optimized geometry

Uncorrected energy   -96.112 eV/f.u.
ΔE to the lowest computed polymorph   0 meV/atom
Calculated volume   10.4 Å³ per atom
Space-group type   Cm (8)

Lattice parameters (Å, degrees): 5.9210 5.9210 9.6092 90.30 90.30 59.57
Atoms (fractional coordinates):
Li  0.0000  0.0000  0.0000
Li  0.0021  0.0021  0.5085
Li  0.3369  0.3369  0.0896
Li  0.6682  0.6682  0.5946
Al  0.1732  0.6606  0.7791
Al  0.6606  0.1732  0.7791
Cr  0.1726  0.1726  0.7798
Cr  0.3416  0.8328  0.2797
Cr  0.8323  0.8323  0.2792
Cr  0.8328  0.3416  0.2797
Sb  0.3372  0.3372  0.5089
Sb  0.6678  0.6678  0.0030
O  0.0011  0.0011  0.1852
O  0.0400  0.4901  0.6537
O  0.1673  0.1673  0.4017
O  0.1678  0.6728  0.3995
O  0.3298  0.8292  0.8934
O  0.3437  0.3437  0.8796
O  0.4837  0.4837  0.6547
O  0.4901  0.0400  0.6537
O  0.5174  0.9672  0.1483
O  0.5203  0.5203  0.1489
O  0.6699  0.6699  0.3866
O  0.6728  0.1678  0.3995
O  0.8292  0.3298  0.8934
O  0.8343  0.8343  0.8917
O  0.9672  0.5174  0.1483
O  0.9930  0.9930  0.6972